(1)
Compound: Al2O3
Source: the Materials Project database
Functional: GGA-PBE
Structure: relaxed

Unit cell a=10.2103 b=10.2649 c=10.7003 alpha=90.21 beta=91.14 gamma=94.23
Space group P1 (No. 1)
One atom of each set of equivalent atoms:
1 Al 0.0000 0.0000 0.0000 [1 per cell]
2 Al 0.0025 0.2633 0.5659 [1 per cell]
3 Al 0.0079 0.6099 0.8779 [1 per cell]
4 Al 0.0362 0.0033 0.7031 [1 per cell]
5 Al 0.1149 0.6281 0.6028 [1 per cell]
6 Al 0.1265 0.0768 0.2580 [1 per cell]
7 Al 0.1350 0.3831 0.2936 [1 per cell]
8 Al 0.1568 0.2536 0.0484 [1 per cell]
9 Al 0.1904 0.4135 0.7988 [1 per cell]
10 Al 0.2025 0.8433 0.8180 [1 per cell]
11 Al 0.2071 0.6418 0.0481 [1 per cell]
12 Al 0.2655 0.9284 0.5202 [1 per cell]
13 Al 0.2666 0.6728 0.3474 [1 per cell]
14 Al 0.3913 0.2633 0.2020 [1 per cell]
15 Al 0.4035 0.4751 0.6630 [1 per cell]
16 Al 0.4238 0.7825 0.9912 [1 per cell]
17 Al 0.4336 0.4504 0.9815 [1 per cell]
18 Al 0.4569 0.2429 0.4966 [1 per cell]
19 Al 0.4658 0.5066 0.3544 [1 per cell]
20 Al 0.5196 0.7269 0.4968 [1 per cell]
21 Al 0.5242 0.0157 0.5289 [1 per cell]
22 Al 0.5539 0.9847 0.2186 [1 per cell]
23 Al 0.5594 0.7234 0.1857 [1 per cell]
24 Al 0.5663 0.1657 0.0458 [1 per cell]
25 Al 0.5788 0.9344 0.8175 [1 per cell]
26 Al 0.6680 0.4724 0.1074 [1 per cell]
27 Al 0.6883 0.3162 0.6481 [1 per cell]
28 Al 0.7391 0.1533 0.4306 [1 per cell]
29 Al 0.7539 0.4961 0.8481 [1 per cell]
30 Al 0.7709 0.8942 0.5914 [1 per cell]
31 Al 0.7731 0.0974 0.8627 [1 per cell]
32 Al 0.7731 0.7609 0.9792 [1 per cell]
33 Al 0.7829 0.5883 0.5542 [1 per cell]
34 Al 0.8392 0.1982 0.1602 [1 per cell]
35 Al 0.8390 0.9091 0.2290 [1 per cell]
36 Al 0.8750 0.4137 0.3923 [1 per cell]
37 Al 0.9288 0.4725 0.0940 [1 per cell]
38 Al 0.9512 0.2800 0.8312 [1 per cell]
39 Al 0.9847 0.9520 0.4542 [1 per cell]
40 Al 0.9941 0.6869 0.2208 [1 per cell]
41 O 0.0252 0.6317 0.0543 [1 per cell]
42 O 0.0408 0.3479 0.4262 [1 per cell]
43 O 0.0408 0.3557 0.7019 [1 per cell]
44 O 0.0450 0.3398 0.1406 [1 per cell]
45 O 0.0485 0.1016 0.5563 [1 per cell]
46 O 0.0687 0.9456 0.8623 [1 per cell]
47 O 0.0990 0.7018 0.7552 [1 per cell]
48 O 0.1232 0.2662 0.8899 [1 per cell]
49 O 0.1360 0.0789 0.0892 [1 per cell]
50 O 0.1535 0.9682 0.3861 [1 per cell]
51 O 0.1606 0.5312 0.9133 [1 per cell]
52 O 0.1759 0.7074 0.2146 [1 per cell]
53 O 0.2032 0.7326 0.4890 [1 per cell]
54 O 0.2030 0.9371 0.6740 [1 per cell]
55 O 0.2230 0.2288 0.2767 [1 per cell]
56 O 0.2352 0.5085 0.6482 [1 per cell]
57 O 0.2430 0.7943 0.9722 [1 per cell]
58 O 0.2761 0.4984 0.3284 [1 per cell]
59 O 0.3070 0.3461 0.0753 [1 per cell]
60 O 0.3687 0.0919 0.5216 [1 per cell]
61 O 0.3718 0.4253 0.8240 [1 per cell]
62 O 0.3814 0.6082 0.0413 [1 per cell]
63 O 0.4290 0.8470 0.8334 [1 per cell]
64 O 0.4305 0.8617 0.5278 [1 per cell]
65 O 0.4404 0.1075 0.1529 [1 per cell]
66 O 0.4474 0.8540 0.1481 [1 per cell]
67 O 0.4490 0.6965 0.3411 [1 per cell]
68 O 0.4615 0.3287 0.3528 [1 per cell]
69 O 0.4696 0.5637 0.5301 [1 per cell]
70 O 0.4911 0.3406 0.6293 [1 per cell]
71 O 0.5357 0.3295 0.0884 [1 per cell]
72 O 0.5650 0.5478 0.2172 [1 per cell]
73 O 0.5799 0.0466 0.3724 [1 per cell]
74 O 0.5891 0.0936 0.8968 [1 per cell]
75 O 0.6033 0.7515 0.0156 [1 per cell]
76 O 0.6127 0.4946 0.9414 [1 per cell]
77 O 0.6153 0.1817 0.5466 [1 per cell]
78 O 0.6309 0.9639 0.6574 [1 per cell]
79 O 0.6748 0.8507 0.2484 [1 per cell]
80 O 0.6882 0.0885 0.1385 [1 per cell]
81 O 0.6908 0.7387 0.5467 [1 per cell]
82 O 0.7192 0.4908 0.6842 [1 per cell]
83 O 0.7311 0.4946 0.4240 [1 per cell]
84 O 0.7459 0.9133 0.8660 [1 per cell]
85 O 0.7562 0.2733 0.8018 [1 per cell]
86 O 0.7902 0.3549 0.1017 [1 per cell]
87 O 0.7975 0.6093 0.1065 [1 per cell]
88 O 0.8053 0.2586 0.3146 [1 per cell]
89 O 0.8118 0.9997 0.4574 [1 per cell]
90 O 0.8307 0.2838 0.5450 [1 per cell]
91 O 0.8394 0.6630 0.8583 [1 per cell]
92 O 0.8922 0.1401 0.9943 [1 per cell]
93 O 0.8955 0.8699 0.0728 [1 per cell]
94 O 0.9155 0.1116 0.7604 [1 per cell]
95 O 0.9155 0.4437 0.9065 [1 per cell]
96 O 0.9395 0.8121 0.3236 [1 per cell]
97 O 0.9408 0.8757 0.6098 [1 per cell]
98 O 0.9436 0.0645 0.2455 [1 per cell]
99 O 0.9542 0.5807 0.5482 [1 per cell]
100 O 0.9712 0.5170 0.2703 [1 per cell]

Properties
- Size of the total moment: 0.00 μB/cell
- E_tot: -7.27 eV per atom
- E_form: -3.2125 eV per atom

=====

(2)
Compound: NaGa3P2H4O12
Source: the Materials Project database
Functional: GGA-PBE
Structure: relaxed

Unit cell a=7.3568 b=10.4091 c=12.8776 alpha=90.00 beta=116.30 gamma=90.00
Space group P2_1/c (No. 14)
One atom of each set of equivalent atoms:
1 Na 0.2429 0.0761 0.1939 [4 per cell]
2 Ga 0.0138 0.2200 0.4615 [4 per cell]
3 Ga 0.2532 0.5626 0.2626 [4 per cell]
4 Ga 0.4758 0.2460 0.5397 [4 per cell]
5 P 0.0578 0.6754 0.8082 [4 per cell]
6 P 0.4449 0.6903 0.6824 [4 per cell]
7 H 0.1816 0.1049 0.9233 [4 per cell]
8 H 0.2094 0.5096 0.0640 [4 per cell]
9 H 0.2713 0.0525 0.4426 [4 per cell]
10 H 0.2889 0.5853 0.4704 [4 per cell]
11 O 0.0457 0.7133 0.2236 [4 per cell]
12 O 0.0516 0.0576 0.7695 [4 per cell]
13 O 0.0522 0.2252 0.6216 [4 per cell]
14 O 0.1511 0.5720 0.1002 [4 per cell]
15 O 0.2171 0.1459 0.9990 [4 per cell]
16 O 0.2188 0.6593 0.5986 [4 per cell]
17 O 0.2731 0.1100 0.5035 [4 per cell]
18 O 0.2784 0.6323 0.8885 [4 per cell]
19 O 0.3650 0.5966 0.4253 [4 per cell]
20 O 0.4479 0.2370 0.3797 [4 per cell]
21 O 0.4617 0.0581 0.7688 [4 per cell]
22 O 0.4659 0.7189 0.2852 [4 per cell]

Properties
- Size of the total moment: 0.00 μB/cell
- E_tot: -6.08 eV per atom
- E_form: -2.1787 eV per atom

=====

(3)
Compound: RbErS2O9
Source: the Materials Project database
Functional: GGA-PBE
Structure: relaxed

Unit cell a=10.1539 b=8.5574 c=10.3532 alpha=90.00 beta=117.80 gamma=90.00
Space group P2_1/c (No. 14)
One atom of each set of equivalent atoms:
1 Rb 0.2185 0.1682 0.1826 [4 per cell]
2 Er 0.2497 0.6310 0.0318 [4 per cell]
3 S 0.0600 0.6319 0.1840 [4 per cell]
4 S 0.4893 0.6967 0.8912 [4 per cell]
5 O 0.0664 0.7485 0.5801 [4 per cell]
6 O 0.0873 0.7057 0.3237 [4 per cell]
7 O 0.0916 0.0600 0.3809 [4 per cell]
8 O 0.1736 0.5131 0.2002 [4 per cell]
9 O 0.3389 0.6162 0.5607 [4 per cell]
10 O 0.3578 0.6083 0.8799 [4 per cell]
11 O 0.3973 0.0895 0.6117 [4 per cell]
12 O 0.4396 0.6994 0.2596 [4 per cell]
13 O 0.4442 0.2091 0.9736 [4 per cell]

Properties
- Size of the total moment: 8.01 μB/cell
- E_tot: -6.23 eV per atom
- E_form: -2.2140 eV per atom